{
  "formula": "CsMg6Cu",
  "functional": "PBE-GGA",
  "state": "optimized geometry",
  "lattice": [[-0.4123, -4.1205, 2.7423], [4.2270, -2.8033, -3.5766], [11.5259, 5.1999, 9.5462]],
  "species": ["Cs", "Cs", "Mg", "Mg", "Mg", "Mg", "Mg", "Mg", "Mg", "Mg", "Mg", "Mg", "Mg", "Mg", "Cu", "Cu"],
  "frac_coords": [[0.5000, 0.5000, 0.2071], [0.5000, 0.0000, 0.7071], [0.5000, 0.2416, 0.4351], [0.5000, 0.7584, 0.4351], [0.0000, 0.7574, 0.0533], [0.0000, 0.2426, 0.0533], [0.0000, 0.0000, 0.3658], [0.0000, 0.5000, 0.3866], [0.5000, 0.7416, 0.9351], [0.5000, 0.2584, 0.9351], [0.0000, 0.2574, 0.5533], [0.0000, 0.7426, 0.5533], [0.0000, 0.5000, 0.8658], [0.0000, 0.0000, 0.8866], [0.5000, 0.0000, 0.0637], [0.5000, 0.5000, 0.5637]],
  "energy_ev_per_atom": -1.583,
  "delta_e_f_ev_per_atom": 0.241
}